Density functional theory data (GGA+U) for crystalline MgMn2Fe4O8 at its relaxed geometry.

Computed properties:
E above lowest polymorph: 238 meV per atom

extended XYZ file:
```
15
Lattice="5.1604 0.0144 2.9679 1.1782 5.7057 3.9304 -0.5842 0.7682 6.9440" Properties=species:S:1:pos:R:3 pbc="T T T"
Fe 3.0756 2.9595 6.5475
Fe 0.6175 2.8256 4.9434
Fe 2.8645 3.1370 3.7853
Fe 1.9800 0.7225 5.3157
O 1.2366 2.0594 6.7689
O 3.8611 2.1557 8.2525
O 1.9174 4.8513 8.9764
O 3.7274 1.8101 5.1075
O 4.1359 4.9594 10.4483
O 2.0288 4.2777 5.3925
O 4.6026 4.2451 6.9641
O 1.3452 1.6955 3.5418
Mn 5.0682 5.6653 12.0951
Mn 0.7401 0.7826 1.7011
Mg 3.7986 4.0821 8.7863
```

Density functional theory data (GGA+U) for crystalline Mn3Fe2Co3O16 at its relaxed geometry.

Computed properties:
total energy: -6.32 eV per atom

extended XYZ file:
```
24
Lattice="5.6991 -0.0107 -0.0586 -2.8588 4.9522 -0.0021 -0.0921 -0.0563 9.0802" Properties=species:S:1:pos:R:3 pbc="T T T"
O -0.0649 4.7461 3.0042
O 4.0438 2.3288 7.5440
O 2.7352 0.1458 7.5274
O 1.3892 4.0970 5.3921
O 2.8479 3.3301 0.8942
O -0.0508 -0.0355 7.4292
O 1.3556 0.7821 0.9666
O -0.0334 3.2851 0.9207
O -1.5175 4.1324 5.4672
O 1.4953 2.2901 7.5258
O -0.0303 1.5570 5.4731
O -1.2707 2.5641 2.9837
O 1.2108 2.5334 3.0034
O 0.0002 0.0051 2.8817
O 2.7806 1.5977 5.4367
O 4.3002 0.8081 0.8926
Mn 1.3821 4.1073 1.9113
Mn 4.2062 0.7850 6.4285
Mn 2.7910 3.2405 6.4232
Fe -0.0510 3.2680 4.4372
Fe 2.7518 1.5924 8.9811
Co -0.0178 1.6402 1.8878
Co -1.4476 4.1206 1.8928
Co 1.3580 0.7769 6.4097
```